[1]
The following is a DFT calculation (PBE with a Hubbard U) of a geometry-optimized Co2OF3 structure.

Formation energy from the elements, eV per atom: -1.965
Total magnetization, μB/atom: 0.17
Energy above the most stable polymorph in this dataset, kcal/mol of atoms: 0.36
SG: C2/m, No. 12

Cell lengths 4.721, 4.721, 6.113 Å; angles 90.19, 90.19, 93.01 degrees
Element x y z (fractional)
Co: 0.000 0.000 0.000
Co: 0.000 0.000 0.500
Co: 0.463 0.463 0.750
Co: 0.537 0.537 0.250
O: 0.176 0.176 0.739
O: 0.824 0.824 0.261
F: 0.218 0.218 0.252
F: 0.302 0.698 0.000
F: 0.302 0.698 0.500
F: 0.698 0.302 0.000
F: 0.698 0.302 0.500
F: 0.782 0.782 0.748


[2]
The following is a DFT calculation (PBE with a Hubbard U) of a geometry-optimized MgMn2V2Bi2O10 structure.

Formation energy from the elements, eV per atom: -2.069
Total magnetization, μB/atom: 0.59
Energy above the most stable polymorph in this dataset, kcal/mol of atoms: 0.94
SG: P1, No. 1

Cell lengths 6.140, 7.010, 7.048 Å; angles 113.58, 99.04, 99.60 degrees
Element x y z (fractional)
Mg: 0.000 0.000 0.000
Mn: 0.131 0.457 0.968
Mn: 0.625 0.801 0.589
V: 0.040 0.500 0.470
V: 0.733 0.741 0.123
Bi: 0.231 0.059 0.538
Bi: 0.561 0.201 0.054
O: 0.023 0.747 0.069
O: 0.153 0.392 0.653
O: 0.172 0.106 0.844
O: 0.268 0.715 0.491
O: 0.498 0.521 0.072
O: 0.596 0.133 0.742
O: 0.665 0.870 0.940
O: 0.772 0.543 0.503
O: 0.818 0.917 0.402
O: 0.969 0.307 0.169


[3]
The following is a DFT calculation (PBE with a Hubbard U) of a geometry-optimized Na2W3O10 structure.

Formation energy from the elements, eV per atom: -2.128
Total magnetization, μB/atom: 0.00
SG: C2/c, No. 15

Cell lengths 7.983, 7.983, 8.597 Å; angles 99.45, 99.45, 59.79 degrees
Element x y z (fractional)
Na: 0.073 0.286 0.150
Na: 0.286 0.073 0.650
Na: 0.714 0.927 0.350
Na: 0.927 0.714 0.850
W: 0.191 0.809 0.250
W: 0.304 0.471 0.486
W: 0.471 0.304 0.986
W: 0.529 0.696 0.014
W: 0.696 0.529 0.514
W: 0.809 0.191 0.750
O: 0.004 0.117 0.901
O: 0.117 0.004 0.401
O: 0.121 0.626 0.322
O: 0.166 0.562 0.651
O: 0.237 0.328 0.922
O: 0.328 0.237 0.422
O: 0.374 0.879 0.178
O: 0.382 0.569 0.091
O: 0.431 0.618 0.409
O: 0.438 0.834 0.849
O: 0.562 0.166 0.151
O: 0.569 0.382 0.591
O: 0.618 0.431 0.909
O: 0.626 0.121 0.822
O: 0.672 0.763 0.578
O: 0.763 0.672 0.078
O: 0.834 0.438 0.349
O: 0.879 0.374 0.678
O: 0.883 0.996 0.599
O: 0.996 0.883 0.099


[4]
The following is a DFT calculation (PBE with a Hubbard U) of a geometry-optimized CoBiC3O3 structure.

Formation energy from the elements, eV per atom: -0.685
Total magnetization, μB/atom: 0.00
SG: I4_1/amd, No. 141

Cell lengths 11.793, 11.793, 11.793 Å; angles 101.82, 101.82, 126.19 degrees
Element x y z (fractional)
Co: 0.229 0.330 0.602
Co: 0.229 0.627 0.898
Co: 0.330 0.229 0.102
Co: 0.373 0.771 0.602
Co: 0.627 0.229 0.398
Co: 0.670 0.771 0.898
Co: 0.771 0.373 0.102
Co: 0.771 0.670 0.398
Bi: 0.153 0.514 0.639
Bi: 0.376 0.514 0.861
Bi: 0.486 0.624 0.639
Bi: 0.486 0.847 0.861
Bi: 0.514 0.153 0.139
Bi: 0.514 0.376 0.361
Bi: 0.624 0.486 0.139
Bi: 0.847 0.486 0.361
C: 0.066 0.188 0.622
C: 0.066 0.444 0.878
C: 0.159 0.282 0.437
C: 0.159 0.722 0.877
C: 0.188 0.066 0.122
C: 0.278 0.656 0.437
C: 0.278 0.841 0.623
C: 0.282 0.159 0.937
C: 0.282 0.344 0.123
C: 0.344 0.282 0.623
C: 0.344 0.722 0.063
C: 0.444 0.066 0.378
C: 0.556 0.934 0.622
C: 0.656 0.278 0.937
C: 0.656 0.718 0.377
C: 0.718 0.656 0.877
C: 0.718 0.841 0.063
C: 0.722 0.159 0.377
C: 0.722 0.344 0.563
C: 0.812 0.934 0.878
C: 0.841 0.278 0.123
C: 0.841 0.718 0.563
C: 0.934 0.556 0.122
C: 0.934 0.812 0.378
O: 0.043 0.671 0.128
O: 0.043 0.915 0.372
O: 0.085 0.957 0.128
O: 0.113 0.242 0.328
O: 0.113 0.786 0.871
O: 0.214 0.585 0.328
O: 0.214 0.887 0.629
O: 0.242 0.113 0.828
O: 0.242 0.415 0.129
O: 0.329 0.957 0.372
O: 0.415 0.242 0.629
O: 0.415 0.786 0.172
O: 0.585 0.214 0.828
O: 0.585 0.758 0.371
O: 0.671 0.043 0.628
O: 0.758 0.585 0.871
O: 0.758 0.887 0.172
O: 0.786 0.113 0.371
O: 0.786 0.415 0.672
O: 0.887 0.214 0.129
O: 0.887 0.758 0.672
O: 0.915 0.043 0.872
O: 0.957 0.085 0.628
O: 0.957 0.329 0.872


Repeat the third record exactly.
The following is a DFT calculation (PBE with a Hubbard U) of a geometry-optimized Na2W3O10 structure.

Formation energy from the elements, eV per atom: -2.128
Total magnetization, μB/atom: 0.00
SG: C2/c, No. 15

Cell lengths 7.983, 7.983, 8.597 Å; angles 99.45, 99.45, 59.79 degrees
Element x y z (fractional)
Na: 0.073 0.286 0.150
Na: 0.286 0.073 0.650
Na: 0.714 0.927 0.350
Na: 0.927 0.714 0.850
W: 0.191 0.809 0.250
W: 0.304 0.471 0.486
W: 0.471 0.304 0.986
W: 0.529 0.696 0.014
W: 0.696 0.529 0.514
W: 0.809 0.191 0.750
O: 0.004 0.117 0.901
O: 0.117 0.004 0.401
O: 0.121 0.626 0.322
O: 0.166 0.562 0.651
O: 0.237 0.328 0.922
O: 0.328 0.237 0.422
O: 0.374 0.879 0.178
O: 0.382 0.569 0.091
O: 0.431 0.618 0.409
O: 0.438 0.834 0.849
O: 0.562 0.166 0.151
O: 0.569 0.382 0.591
O: 0.618 0.431 0.909
O: 0.626 0.121 0.822
O: 0.672 0.763 0.578
O: 0.763 0.672 0.078
O: 0.834 0.438 0.349
O: 0.879 0.374 0.678
O: 0.883 0.996 0.599
O: 0.996 0.883 0.099